Computed, not measured: an optimized crystal structure of La3AlFe4O12 at the PBE+U level of DFT.

a b c (Å): 5.466 7.979 5.566
angles (deg): 90.00 93.45 90.00
Fractional positions:
1 La 0.000 0.000 0.000
2 La 0.024 0.500 0.083
3 La 0.522 0.000 0.487
4 Al 0.525 0.500 0.551
5 Fe 0.013 0.258 0.543
6 Fe 0.013 0.742 0.543
7 Fe 0.522 0.255 0.008
8 Fe 0.522 0.745 0.008
9 O 0.093 0.000 0.521
10 O 0.188 0.274 0.866
11 O 0.188 0.726 0.866
12 O 0.340 0.334 0.388
13 O 0.340 0.666 0.388
14 O 0.444 0.000 0.061
15 O 0.564 0.500 0.894
16 O 0.724 0.191 0.742
17 O 0.724 0.809 0.742
18 O 0.816 0.227 0.231
19 O 0.816 0.773 0.231
20 O 0.859 0.500 0.514

Results
Energy of formation ... -2.67 eV per atom
Crystal system ... monoclinic
Size of the total moment ... 20.00 Bohr magnetons per cell
Raw total energy ... -7.394 eV per atom